## Gd3Ge13Ir4 (PBE-GGA)

Data for crystalline Gd3Ge13Ir4 at its relaxed geometry.

Cell lengths 9.0766, 9.0766, 9.0766 Å; angles 90.00, 90.00, 90.00 degrees
Positions (direct):
1 Gd 0.0000 0.5000 0.7500
2 Gd 0.5000 0.2500 0.0000
3 Gd 0.7500 0.0000 0.5000
4 Gd 0.0000 0.5000 0.2500
5 Gd 0.5000 0.7500 0.0000
6 Gd 0.2500 0.0000 0.5000
7 Ge 0.5000 0.5000 0.5000
8 Ge 0.0000 0.0000 0.0000
9 Ge 0.8081 0.3542 0.5000
10 Ge 0.6458 0.5000 0.8081
11 Ge 0.5000 0.1919 0.6458
12 Ge 0.1919 0.6458 0.5000
13 Ge 0.3542 0.5000 0.1919
14 Ge 0.5000 0.8081 0.3542
15 Ge 0.8081 0.6458 0.5000
16 Ge 0.6458 0.5000 0.1919
17 Ge 0.1919 0.3542 0.5000
18 Ge 0.3542 0.5000 0.8081
19 Ge 0.5000 0.8081 0.6458
20 Ge 0.5000 0.1919 0.3542
21 Ge 0.3081 0.0000 0.8542
22 Ge 0.1458 0.3081 0.0000
23 Ge 0.0000 0.1458 0.6919
24 Ge 0.6919 0.0000 0.1458
25 Ge 0.8542 0.6919 0.0000
26 Ge 0.0000 0.8542 0.3081
27 Ge 0.3081 0.0000 0.1458
28 Ge 0.1458 0.6919 0.0000
29 Ge 0.6919 0.0000 0.8542
30 Ge 0.8542 0.3081 0.0000
31 Ge 0.0000 0.1458 0.3081
32 Ge 0.0000 0.8542 0.6919
33 Ir 0.7500 0.2500 0.7500
34 Ir 0.2500 0.7500 0.2500
35 Ir 0.7500 0.7500 0.2500
36 Ir 0.2500 0.2500 0.7500
37 Ir 0.2500 0.7500 0.7500
38 Ir 0.7500 0.2500 0.2500
39 Ir 0.2500 0.2500 0.2500
40 Ir 0.7500 0.7500 0.7500

## Properties
Final energy = -7.41 eV per atom
Formation energy from the elements = -0.53 eV per atom
Volume = 18.69 A^3/atom
Space-group type = Pm-3n, No. 223